## Y9Ni24Sn49 (PBE-GGA)

Data for an optimized crystal structure of Y9Ni24Sn49.

```
Y9Ni24Sn49
1.0
5.9612 8.4238 0.0000
-5.9612 8.4238 0.0000
0.0000 0.0449 17.0278
Y Ni Sn
9 24 49
direct
0.7504 0.2498 0.7500
0.2496 0.7502 0.2500
0.0000 0.5000 0.0000
0.5000 0.0000 0.5000
0.5000 0.0000 0.0000
0.0000 0.5000 0.5000
0.2498 0.7504 0.7500
0.7502 0.2496 0.2500
0.0000 0.0000 0.0000
0.7418 0.0972 0.5799
0.2424 0.5988 0.0792
0.7576 0.4012 0.9208
0.2582 0.9028 0.4201
0.0972 0.7418 0.5799
0.5988 0.2424 0.0792
0.4012 0.7576 0.9208
0.9028 0.2582 0.4201
0.6799 0.9990 0.8395
0.1789 0.5006 0.3390
0.8211 0.4994 0.6610
0.3201 0.0010 0.1605
0.4994 0.8211 0.6610
0.0010 0.3201 0.1605
0.9990 0.6799 0.8395
0.5006 0.1789 0.3390
0.2400 0.2400 0.9198
0.7408 0.7408 0.4201
0.2592 0.2592 0.5799
0.7600 0.7600 0.0802
0.4193 0.4193 0.7410
0.9189 0.9189 0.2396
0.0811 0.0811 0.7604
0.5807 0.5807 0.2590
0.5044 0.2507 0.6229
0.0040 0.7417 0.1273
0.9960 0.2583 0.8727
0.4956 0.7493 0.3771
0.2507 0.5044 0.6229
0.7417 0.0040 0.1273
0.2583 0.9960 0.8727
0.7493 0.4956 0.3771
0.6820 0.1870 0.9351
0.1906 0.6827 0.4365
0.8094 0.3173 0.5635
0.3180 0.8130 0.0649
0.3173 0.8094 0.5635
0.8130 0.3180 0.0649
0.1870 0.6820 0.9351
0.6827 0.1906 0.4365
0.6851 0.6851 0.5587
0.1922 0.1922 0.0609
0.8078 0.8078 0.9391
0.3149 0.3149 0.4413
0.5594 0.5594 0.6868
0.0613 0.0613 0.1922
0.9387 0.9387 0.8078
0.4406 0.4406 0.3132
0.8119 0.5561 0.8150
0.3122 0.0576 0.3158
0.6878 0.9424 0.6842
0.1881 0.4439 0.1850
0.5561 0.8119 0.8150
0.0576 0.3122 0.3158
0.9424 0.6878 0.6842
0.4439 0.1881 0.1850
0.0559 0.3170 0.6859
0.5552 0.8180 0.1875
0.4448 0.1820 0.8125
0.9441 0.6830 0.3141
0.1820 0.4448 0.8125
0.6830 0.9441 0.3141
0.3170 0.0559 0.6859
0.8180 0.5552 0.1875
0.1295 0.1295 0.5021
0.6286 0.6286 0.0025
0.3714 0.3714 0.9975
0.8705 0.8705 0.4979
0.0019 0.0019 0.6301
0.5015 0.5015 0.1305
0.4985 0.4985 0.8695
0.9981 0.9981 0.3699
0.5000 0.5000 0.5000
```

Results
**Formation energy**: -0.332 eV/atom
**Spin magnetization**: 0.11 Bohr magnetons per cell